1.
Material: Li3Ag
Method: DFT, r²SCAN
State: optimized geometry

Values from the calculation:
- DFT formation energy (eV per atom) = -0.121
- spin magnetization (μB per atom) = 0.00

Unit cell a=4.2182 b=4.2182 c=7.3372 alpha=90.00 beta=90.00 gamma=90.00
Last column: nearest neighbours and their distance in Å.
Space group I4/mmm (No. 139)
Asymmetric unit:
1 Li 0.0000 0.0000 0.0000 x2  8 Li 2.80, 4 Ag 2.98
2 Li 0.0000 0.5000 0.2500 x4  8 Li 2.80-2.98, 4 Ag 2.80
3 Ag 0.0000 0.0000 0.5000 x2  12 Li 2.80-2.98


2.
Material: V4P2C
Method: DFT, r²SCAN
State: optimized geometry

Values from the calculation:
- DFT formation energy (eV per atom) = -0.829
- spin magnetization (μB per atom) = 0.08

Unit cell a=9.5012 b=9.5012 c=3.1502 alpha=90.00 beta=90.00 gamma=120.00
Last column: nearest neighbours and their distance in Å.
Space group P-62m (No. 189)
Asymmetric unit:
1 V 0.0000 0.5332 0.0000 x3  2 C 2.04
2 V 0.0000 0.8141 0.0000 x3  2 C 2.09
3 V 0.2070 0.4516 0.5000 x6  1 C 2.01
4 P 0.0000 0.0000 0.5000 x1  6 V 2.37
5 P 0.0000 0.2821 0.0000 x3  7 V 2.36-2.40
6 P 0.3333 0.6667 0.0000 x2  6 V 2.38
7 C 0.0000 0.6695 0.5000 x3  6 V 2.01-2.09


3.
Material: AsS
Method: DFT, r²SCAN
State: optimized geometry

Values from the calculation:
- DFT formation energy (eV per atom) = -0.160
- spin magnetization (μB per atom) = 0.00

Unit cell a=6.7799 b=14.0769 c=9.9735 alpha=90.00 beta=113.66 gamma=90.00
Last column: nearest neighbours and their distance in Å.
Space group P2_1/c (No. 14)
Asymmetric unit:
1 As 0.0552 0.1388 0.4208 x4  2 S 2.24-2.25
2 As 0.1459 0.0160 0.8766 x4  2 S 2.24
3 As 0.1776 0.6614 0.4573 x4  2 S 2.24
4 As 0.3622 0.6263 0.1836 x4  2 S 2.24-2.25
5 S 0.0860 0.2235 0.2398 x4  2 As 2.24
6 S 0.1297 0.5009 0.8426 x4  2 As 2.24-2.25
7 S 0.3998 0.0182 0.7865 x4  2 As 2.24-2.25
8 S 0.4441 0.7063 0.3933 x4  2 As 2.24


4.
Material: Na2BrCl
Method: DFT, r²SCAN
State: optimized geometry

Values from the calculation:
- DFT formation energy (eV per atom) = -1.919
- spin magnetization (μB per atom) = 0.00

Unit cell a=4.0720 b=4.0720 c=19.9744 alpha=90.00 beta=90.00 gamma=120.00
Last column: nearest neighbours and their distance in Å.
Space group R-3m (No. 166, hexagonal axes)
Asymmetric unit:
1 Na 0.0000 0.0000 0.2458 x6  3 Cl 2.83, 3 Br 2.93
2 Br 0.0000 0.0000 0.0000 x3  6 Na 2.93
3 Cl 0.0000 0.0000 0.5000 x3  6 Na 2.83


5.
Material: MgGeRh2
Method: DFT, r²SCAN
State: optimized geometry

Values from the calculation:
- DFT formation energy (eV per atom) = -0.641
- spin magnetization (μB per atom) = 0.00

Unit cell a=6.0541 b=6.0541 c=6.0541 alpha=90.00 beta=90.00 gamma=90.00
Last column: nearest neighbours and their distance in Å.
Space group Fm-3m (No. 225)
Asymmetric unit:
1 Mg 0.0000 0.0000 0.0000 x4  8 Rh 2.62
2 Ge 0.0000 0.0000 0.5000 x4  8 Rh 2.62
3 Rh 0.2500 0.2500 0.2500 x8  4 Ge 2.62, 4 Mg 2.62


6.
Material: VSO5
Method: DFT, r²SCAN
State: optimized geometry

Values from the calculation:
- DFT formation energy (eV per atom) = -1.926
- spin magnetization (μB per atom) = 0.14

Unit cell a=7.2168 b=6.2933 c=7.1869 alpha=90.00 beta=90.00 gamma=90.00
Last column: nearest neighbours and their distance in Å.
Space group Pnma (No. 62)
Asymmetric unit:
1 V 0.1596 0.2500 0.2339 x4  1 O 1.64
2 S 0.1250 0.7500 0.1294 x4  4 O 1.47-1.48
3 O 0.0475 0.2500 0.9807 x4  1 S 1.48
4 O 0.1204 0.7500 0.6790 x4  1 V 1.64
5 O 0.1271 0.5644 0.2525 x8  1 S 1.47
6 O 0.2110 0.2500 0.5084 x4  1 S 1.47


7.
Material: Si
Method: DFT, r²SCAN
State: optimized geometry

Values from the calculation:
- DFT formation energy (eV per atom) = 0.092
- spin magnetization (μB per atom) = 0.00

Unit cell a=10.1805 b=10.1805 c=10.1805 alpha=90.00 beta=90.00 gamma=90.00
Last column: nearest neighbours and their distance in Å.
Space group Pm-3n (No. 223)
Asymmetric unit:
1 Si 0.0000 0.1171 0.3080 x24  4 Si 2.36-2.38
2 Si 0.0000 0.2500 0.5000 x6  4 Si 2.38
3 Si 0.1837 0.1837 0.1837 x16  4 Si 2.34-2.36


8.
Material: Rb4Au6S5
Method: DFT, r²SCAN
State: optimized geometry

Values from the calculation:
- DFT formation energy (eV per atom) = -0.755
- spin magnetization (μB per atom) = 0.00

Unit cell a=10.0352 b=10.0352 c=10.0386 alpha=90.00 beta=90.00 gamma=120.00
Last column: nearest neighbours and their distance in Å.
Space group P-62c (No. 190)
Asymmetric unit:
1 Rb 0.0000 0.0000 0.0000 x2  6 S 3.55
2 Rb 0.0720 0.4211 0.2500 x6  4 S 3.32-3.52, 4 Au 3.55-3.62
3 Au 0.1700 0.7167 0.5913 x12  2 S 2.31-2.33
4 S 0.0363 0.7706 0.7500 x6  2 Au 2.31
5 S 0.3333 0.6667 0.0378 x4  3 Au 2.33


9.
Material: GdInPt4
Method: DFT, r²SCAN
State: optimized geometry

Values from the calculation:
- DFT formation energy (eV per atom) = -0.876
- spin magnetization (μB per atom) = 1.18

Unit cell a=7.6126 b=7.6126 c=7.6126 alpha=90.00 beta=90.00 gamma=90.00
Last column: nearest neighbours and their distance in Å.
Space group F-43m (No. 216)
Asymmetric unit:
1 Gd 0.0000 0.0000 0.0000 x4  12 Pt 3.16, 4 In 3.30
2 In 0.2500 0.2500 0.7500 x4  12 Pt 3.15, 4 Gd 3.30
3 Pt 0.1245 0.1245 0.3755 x16  6 Pt 2.68-2.70


10.
Material: BaCdBi2
Method: DFT, r²SCAN
State: optimized geometry

Values from the calculation:
- DFT formation energy (eV per atom) = -0.614
- spin magnetization (μB per atom) = 0.00

Unit cell a=4.7309 b=4.7309 c=24.8151 alpha=90.00 beta=90.00 gamma=90.00
Last column: nearest neighbours and their distance in Å.
Space group I4/mmm (No. 139)
Asymmetric unit:
1 Ba 0.0000 0.0000 0.1143 x4  8 Bi 3.65-3.69
2 Cd 0.0000 0.5000 0.2500 x4  4 Bi 3.04, 4 Cd 3.35
3 Bi 0.0000 0.0000 0.3271 x4  4 Cd 3.04
4 Bi 0.0000 0.5000 0.0000 x4  4 Bi 3.35, 4 Ba 3.69


11.
Material: LaInRh
Method: DFT, r²SCAN
State: optimized geometry

Values from the calculation:
- DFT formation energy (eV per atom) = -0.819
- spin magnetization (μB per atom) = 0.00

Unit cell a=7.6539 b=7.6539 c=4.1282 alpha=90.00 beta=90.00 gamma=120.00
Last column: nearest neighbours and their distance in Å.
Space group P-62m (No. 189)
Asymmetric unit:
1 La 0.0000 0.5865 0.0000 x3  5 Rh 3.10-3.17, 6 In 3.33-3.44
2 In 0.0000 0.2447 0.5000 x3  4 Rh 2.79-2.95
3 Rh 0.0000 0.0000 0.0000 x1  6 In 2.79
4 Rh 0.3333 0.6667 0.5000 x2  3 In 2.95, 6 La 3.10


12.
Material: TbIn3
Method: DFT, r²SCAN
State: optimized geometry

Values from the calculation:
- DFT formation energy (eV per atom) = -0.538
- spin magnetization (μB per atom) = 0.00

Unit cell a=4.6208 b=4.6208 c=4.6208 alpha=90.00 beta=90.00 gamma=90.00
Last column: nearest neighbours and their distance in Å.
Space group Pm-3m (No. 221)
Asymmetric unit:
1 Tb 0.0000 0.0000 0.0000 x1  12 In 3.27
2 In 0.0000 0.5000 0.5000 x3  8 In 3.27, 4 Tb 3.27